<A>
TiCrAgS4, optimized geometry, DFT PBE; symmetry = Pmn2_1, No. 31
1.0
5.785 0.000 0.000
0.000 8.450 0.000
0.000 0.000 12.622
Ti Ag S Cr
4 4 16 4
direct
0.610 0.500 0.954 Ti
0.390 0.000 0.454 Ti
0.735 0.500 0.731 Ti
0.265 0.000 0.231 Ti
0.588 0.500 0.318 Ag
0.951 0.000 0.614 Ag
0.049 0.500 0.114 Ag
0.412 0.000 0.818 Ag
0.466 0.500 0.597 S
0.990 0.195 0.176 S
0.016 0.000 0.905 S
0.505 0.806 0.337 S
0.496 0.500 0.122 S
0.504 0.000 0.622 S
0.495 0.306 0.837 S
0.990 0.805 0.176 S
0.984 0.500 0.405 S
0.495 0.694 0.837 S
0.534 0.000 0.097 S
0.010 0.305 0.676 S
0.505 0.194 0.337 S
0.010 0.695 0.676 S
0.012 0.000 0.409 S
0.988 0.500 0.909 S
0.753 0.000 0.262 Cr
0.247 0.500 0.762 Cr
0.093 0.500 0.562 Cr
0.907 0.000 0.062 Cr

---

<B>
TiCrAgS4, optimized geometry, DFT PBE; symmetry = Pnma, No. 62
1.0
5.969 0.000 0.000
0.000 9.502 0.000
0.000 0.000 11.529
Ag S Cr Ti
4 16 4 4
direct
0.180 0.250 0.363 Ag
0.320 0.750 0.863 Ag
0.820 0.750 0.637 Ag
0.680 0.250 0.137 Ag
0.759 0.921 0.166 S
0.259 0.579 0.334 S
0.741 0.421 0.666 S
0.740 0.750 0.423 S
0.252 0.250 0.147 S
0.248 0.750 0.647 S
0.241 0.079 0.834 S
0.760 0.250 0.923 S
0.260 0.250 0.577 S
0.240 0.750 0.077 S
0.759 0.579 0.166 S
0.741 0.079 0.666 S
0.241 0.421 0.834 S
0.748 0.750 0.853 S
0.752 0.250 0.353 S
0.259 0.921 0.334 S
0.998 0.750 0.268 Cr
0.502 0.250 0.768 Cr
0.498 0.750 0.232 Cr
0.002 0.250 0.732 Cr
0.868 0.750 0.035 Ti
0.632 0.250 0.535 Ti
0.132 0.250 0.965 Ti
0.368 0.750 0.465 Ti

---

Q: Which of them is the least stable? A: <A>.

---

<A>
K6Al11Si13Ag5O48, optimized geometry, DFT PBE; symmetry = Pm, No. 6
1.0
12.661 0.000 0.007
0.000 12.653 0.000
0.010 0.000 12.046
O Al Ag Si K
48 11 5 13 6
direct
0.903 0.124 0.683 O
0.281 0.000 0.695 O
0.331 0.107 0.123 O
0.896 0.361 0.120 O
0.012 0.704 0.296 O
0.288 0.302 0.007 O
0.900 0.649 0.877 O
0.894 0.878 0.318 O
0.483 0.000 0.236 O
0.110 0.649 0.112 O
0.196 0.000 0.495 O
0.660 0.110 0.133 O
0.113 0.651 0.887 O
0.019 0.702 0.699 O
0.019 0.298 0.699 O
0.113 0.349 0.887 O
0.710 0.709 0.005 O
0.108 0.889 0.654 O
0.664 0.891 0.888 O
0.015 0.500 0.235 O
0.877 0.000 0.501 O
0.700 0.000 0.332 O
0.103 0.890 0.335 O
0.012 0.296 0.296 O
0.016 0.500 0.771 O
0.498 0.000 0.765 O
0.333 0.114 0.884 O
0.900 0.351 0.877 O
0.216 0.500 0.999 O
0.331 0.893 0.123 O
0.498 0.219 0.011 O
0.894 0.122 0.318 O
0.108 0.111 0.654 O
0.498 0.781 0.011 O
0.759 0.500 0.984 O
0.288 0.698 0.007 O
0.710 0.291 0.005 O
0.716 0.000 0.690 O
0.903 0.876 0.683 O
0.998 0.785 0.497 O
0.103 0.110 0.335 O
0.896 0.639 0.120 O
0.278 0.000 0.298 O
0.110 0.351 0.112 O
0.664 0.109 0.888 O
0.333 0.886 0.884 O
0.998 0.215 0.497 O
0.660 0.890 0.133 O
0.629 0.000 0.803 Al
0.831 0.000 0.368 Al
0.368 0.182 0.003 Al
0.623 0.000 0.213 Al
0.817 0.625 0.997 Al
0.630 0.175 0.010 Al
0.368 0.818 0.003 Al
0.630 0.825 0.010 Al
0.817 0.375 0.997 Al
0.371 0.000 0.807 Al
0.841 0.000 0.638 Al
0.197 0.799 0.192 Ag
0.198 0.810 0.807 Ag
0.197 0.201 0.192 Ag
0.776 0.000 0.009 Ag
0.198 0.190 0.807 Ag
0.996 0.183 0.365 Si
0.183 0.375 0.000 Si
0.175 0.000 0.627 Si
0.003 0.378 0.189 Si
0.002 0.185 0.631 Si
0.996 0.817 0.365 Si
0.007 0.375 0.810 Si
0.003 0.622 0.189 Si
0.007 0.625 0.810 Si
0.169 0.000 0.365 Si
0.002 0.815 0.631 Si
0.364 0.000 0.193 Si
0.183 0.625 0.000 Si
0.749 0.232 0.755 K
0.749 0.768 0.755 K
0.544 0.611 0.951 K
0.746 0.751 0.247 K
0.544 0.389 0.951 K
0.746 0.249 0.247 K

---

<B>
K6Al11Si13Ag5O48, optimized geometry, DFT PBE; symmetry = Pm, No. 6
1.0
12.602 0.000 0.000
0.000 12.397 0.000
0.000 0.076 12.694
Al Ag O K Si
11 5 48 6 13
direct
0.177 0.998 0.372 Al
0.823 0.998 0.372 Al
0.180 0.999 0.636 Al
0.373 0.000 0.182 Al
0.000 0.806 0.378 Al
0.000 0.190 0.634 Al
0.627 0.000 0.182 Al
0.000 0.630 0.175 Al
0.000 0.371 0.172 Al
0.000 0.191 0.374 Al
0.820 0.999 0.636 Al
0.811 0.196 0.805 Ag
0.189 0.196 0.805 Ag
0.000 0.001 0.226 Ag
0.803 0.810 0.806 Ag
0.197 0.810 0.806 Ag
0.500 0.000 0.789 O
0.000 0.500 0.208 O
0.649 0.118 0.100 O
0.000 0.289 0.279 O
0.111 0.114 0.336 O
0.774 0.502 0.987 O
0.000 0.226 0.505 O
0.294 0.293 0.984 O
0.000 0.302 0.721 O
0.112 0.657 0.887 O
0.892 0.879 0.670 O
0.120 0.344 0.096 O
0.699 0.994 0.716 O
0.349 0.889 0.891 O
0.000 0.776 0.515 O
0.880 0.344 0.096 O
0.349 0.110 0.889 O
0.000 0.705 0.286 O
0.500 0.771 0.988 O
0.294 0.708 0.985 O
0.111 0.881 0.342 O
0.651 0.110 0.889 O
0.108 0.879 0.670 O
0.111 0.350 0.889 O
0.351 0.118 0.100 O
0.214 0.996 0.506 O
0.888 0.657 0.887 O
0.648 0.882 0.101 O
0.706 0.293 0.984 O
0.113 0.114 0.675 O
0.887 0.114 0.675 O
0.000 0.704 0.717 O
0.301 0.994 0.716 O
0.889 0.881 0.342 O
0.786 0.996 0.506 O
0.651 0.889 0.891 O
0.882 0.659 0.096 O
0.889 0.350 0.889 O
0.500 0.229 0.986 O
0.118 0.659 0.096 O
0.708 0.998 0.292 O
0.226 0.502 0.987 O
0.706 0.708 0.985 O
0.889 0.114 0.336 O
0.292 0.998 0.292 O
0.500 0.000 0.235 O
0.352 0.882 0.101 O
0.000 0.504 0.795 O
0.772 0.762 0.240 K
0.773 0.239 0.240 K
0.392 0.001 0.460 K
0.227 0.239 0.240 K
0.228 0.762 0.240 K
0.608 0.001 0.460 K
0.813 0.374 0.994 Si
0.000 0.811 0.635 Si
0.000 0.630 0.822 Si
0.375 0.187 0.995 Si
0.625 0.813 0.997 Si
0.000 0.375 0.822 Si
0.626 0.000 0.820 Si
0.374 0.000 0.820 Si
0.814 0.629 0.994 Si
0.625 0.187 0.995 Si
0.187 0.374 0.994 Si
0.375 0.813 0.997 Si
0.186 0.629 0.994 Si

---

Q: Which of them is the least stable? A: <B>.

---

<A>
ZnCuHg4As7S12, optimized geometry, DFT PBE; symmetry = P1, No. 1
1.0
0.145 -8.972 2.562
9.018 2.742 -1.594
-11.902 14.530 21.085
As S Cu Zn Hg
21 36 3 3 12
direct
0.846 0.053 0.335 As
0.460 0.003 0.329 As
0.987 0.932 0.379 As
0.178 0.019 0.297 As
0.551 0.546 0.515 As
0.500 0.511 0.169 As
0.166 0.199 0.385 As
0.002 0.468 0.671 As
0.994 0.885 0.693 As
0.540 0.536 0.846 As
0.009 0.981 0.833 As
0.009 0.476 0.335 As
0.491 0.030 0.009 As
0.697 0.886 0.949 As
0.168 0.175 0.716 As
0.016 0.000 0.492 As
0.858 0.037 0.661 As
0.023 0.937 0.616 As
0.998 0.489 0.004 As
0.990 0.964 0.157 As
0.468 0.013 0.671 As
0.999 0.545 0.932 S
0.232 0.744 0.411 S
0.227 0.214 0.926 S
0.489 0.268 0.495 S
0.557 0.805 0.999 S
0.782 0.550 0.012 S
0.221 0.743 0.751 S
0.446 0.238 0.151 S
0.510 0.988 0.922 S
0.983 0.535 0.260 S
0.970 0.733 0.166 S
0.760 0.247 0.073 S
0.199 0.182 0.255 S
0.543 0.694 0.321 S
0.525 0.481 0.425 S
0.745 0.237 0.397 S
0.784 0.525 0.339 S
0.223 0.471 0.148 S
0.480 0.455 0.079 S
0.476 0.975 0.247 S
0.266 0.497 0.832 S
0.743 0.240 0.741 S
0.497 0.982 0.588 S
0.000 0.756 0.496 S
0.002 0.757 0.847 S
0.522 0.501 0.760 S
0.218 0.763 0.081 S
0.222 0.228 0.586 S
0.995 0.533 0.599 S
0.782 0.995 0.505 S
0.271 0.504 0.496 S
0.794 0.006 0.855 S
0.471 0.245 0.824 S
0.775 0.999 0.178 S
0.783 0.520 0.680 S
0.532 0.794 0.671 S
0.740 0.490 0.082 Cu
0.770 0.508 0.417 Cu
0.771 0.510 0.759 Cu
0.252 0.751 0.500 Zn
0.221 0.733 0.162 Zn
0.229 0.731 0.833 Zn
0.749 0.252 0.164 Hg
0.253 0.511 0.587 Hg
0.226 0.472 0.914 Hg
0.516 0.304 0.924 Hg
0.492 0.741 0.100 Hg
0.765 0.251 0.499 Hg
0.246 0.549 0.253 Hg
0.756 0.238 0.832 Hg
0.508 0.760 0.754 Hg
0.512 0.265 0.251 Hg
0.504 0.724 0.407 Hg
0.515 0.262 0.589 Hg

---

<B>
ZnCuHg4As7S12, optimized geometry, DFT PBE; symmetry = P1, No. 1
1.0
-4.132 5.719 -6.108
-5.357 -0.206 7.915
16.324 15.821 6.776
As Zn S Cu Hg
21 3 36 3 12
direct
0.395 0.428 0.385 As
0.177 0.384 0.335 As
0.848 0.843 0.846 As
0.338 0.805 0.335 As
0.791 0.704 0.616 As
0.608 0.499 0.693 As
0.162 0.173 0.169 As
0.535 0.715 0.661 As
0.031 0.015 0.492 As
0.126 0.671 0.671 As
0.473 0.012 0.009 As
0.736 0.743 0.716 As
0.659 0.125 0.671 As
0.803 0.346 0.329 As
0.343 0.315 0.833 As
0.676 0.649 0.157 As
0.228 0.173 0.379 As
0.521 0.516 0.515 As
0.798 0.987 0.949 As
0.583 0.424 0.297 As
0.990 0.480 0.004 As
0.563 0.065 0.833 Zn
0.252 0.751 0.500 Zn
0.897 0.408 0.162 Zn
0.308 0.062 0.847 S
0.260 0.757 0.741 S
0.665 0.143 0.922 S
0.321 0.807 0.588 S
0.145 0.937 0.151 S
0.410 0.922 0.411 S
0.191 0.453 0.671 S
0.615 0.102 0.073 S
0.638 0.401 0.166 S
0.057 0.602 0.081 S
0.758 0.526 0.012 S
0.463 0.015 0.260 S
0.950 0.442 0.397 S
0.690 0.673 0.255 S
0.927 0.174 0.148 S
0.719 0.241 0.751 S
0.797 0.335 0.599 S
0.083 0.296 0.855 S
0.106 0.847 0.339 S
0.008 0.764 0.496 S
0.498 0.278 0.495 S
0.983 0.482 0.247 S
0.003 0.982 0.760 S
0.674 0.630 0.425 S
0.603 0.834 0.832 S
0.050 0.056 0.586 S
0.901 0.052 0.321 S
0.135 0.681 0.932 S
0.822 0.596 0.824 S
0.773 0.986 0.505 S
0.559 0.807 0.999 S
0.322 0.297 0.079 S
0.278 0.511 0.496 S
0.418 0.642 0.178 S
0.375 0.362 0.926 S
0.423 0.160 0.680 S
0.576 0.327 0.082 Cu
0.936 0.674 0.417 Cu
0.253 0.992 0.759 Cu
0.421 0.924 0.164 Hg
0.740 0.044 0.253 Hg
0.011 0.764 0.251 Hg
0.768 0.254 0.499 Hg
0.668 0.457 0.924 Hg
0.338 0.084 0.589 Hg
0.690 0.910 0.407 Hg
0.078 0.337 0.587 Hg
0.000 0.251 0.754 Hg
0.292 0.540 0.100 Hg
0.091 0.573 0.832 Hg
0.398 0.645 0.914 Hg

---

Q: Which of them is the least stable? A: <B>.

---

<A>
MgTe2MoW2Se2S2, optimized geometry, DFT PBE; symmetry = Cm, No. 8
1.0
3.347 -0.001 0.006
-1.674 2.899 0.000
0.049 0.029 36.979
Se S Mg Te W Mo
2 2 1 2 2 1
direct
0.331 0.665 0.396 Se
0.335 0.668 0.306 Se
0.666 0.333 0.065 S
0.661 0.330 0.148 S
0.331 0.665 0.229 Mg
0.664 0.332 0.630 Te
0.670 0.335 0.527 Te
0.330 0.665 0.106 W
0.334 0.667 0.578 W
0.666 0.333 0.351 Mo

---

<B>
MgTe2MoW2Se2S2, optimized geometry, DFT PBE; symmetry = P3m1, No. 156
1.0
3.338 0.000 0.000
-1.669 2.891 -0.001
0.000 -0.008 38.577
Mg Se Mo W S Te
1 2 1 2 2 2
direct
0.000 0.000 0.234 Mg
0.666 0.333 0.535 Se
0.667 0.333 0.622 Se
0.333 0.667 0.109 Mo
0.333 0.666 0.578 W
0.667 0.333 0.358 W
0.334 0.667 0.397 S
0.333 0.666 0.318 S
0.667 0.333 0.060 Te
0.667 0.334 0.159 Te

---

Q: Which of them is the least stable? A: <A>.